Record 1
BaSrTbSbO6 | Materials Project | PBE | relaxed; distance to the lowest polymorph of the same formula = 0.001 eV/atom
1.0
8.468 0.000 0.000
0.000 8.466 0.000
0.000 0.000 8.461
O Ba Sb Tb Sr
24 4 4 4 4
Direct
0.774 0.514 0.718 O
0.487 0.282 0.777 O
0.226 0.514 0.282 O
0.226 0.486 0.718 O
0.767 0.727 0.987 O
0.279 0.014 0.775 O
0.281 0.221 0.515 O
0.721 0.986 0.775 O
0.016 0.229 0.731 O
0.721 0.014 0.225 O
0.513 0.718 0.777 O
0.016 0.771 0.269 O
0.513 0.282 0.223 O
0.984 0.229 0.269 O
0.279 0.986 0.225 O
0.233 0.273 0.987 O
0.774 0.486 0.282 O
0.281 0.779 0.485 O
0.233 0.727 0.013 O
0.767 0.273 0.013 O
0.719 0.779 0.515 O
0.984 0.771 0.731 O
0.719 0.221 0.485 O
0.487 0.718 0.223 O
0.000 0.000 0.000 Ba
0.000 0.500 0.000 Ba
0.000 0.000 0.500 Ba
0.500 0.500 0.500 Ba
0.253 0.749 0.250 Sb
0.253 0.251 0.750 Sb
0.747 0.749 0.750 Sb
0.747 0.251 0.250 Sb
0.748 0.750 0.251 Tb
0.252 0.250 0.251 Tb
0.748 0.250 0.749 Tb
0.252 0.750 0.749 Tb
0.000 0.500 0.500 Sr
0.500 0.500 0.000 Sr
0.500 0.000 0.000 Sr
0.500 0.000 0.500 Sr

=====

Record 2
LuI3O10 | Materials Project | PBE | relaxed; distance to the lowest polymorph of the same formula = 0.000 eV/atom
1.0
2.847 13.966 0.000
-2.847 13.966 0.000
0.000 1.964 11.827
O Lu I
40 4 12
Direct
0.014 0.870 0.801 O
0.239 0.273 0.551 O
0.497 0.378 0.783 O
0.761 0.727 0.449 O
0.195 0.804 0.407 O
0.622 0.503 0.717 O
0.591 0.730 0.314 O
0.503 0.622 0.217 O
0.801 0.763 0.219 O
0.944 0.826 0.063 O
0.907 0.780 0.379 O
0.220 0.093 0.121 O
0.727 0.761 0.949 O
0.804 0.195 0.907 O
0.338 0.391 0.953 O
0.093 0.220 0.621 O
0.056 0.174 0.937 O
0.378 0.497 0.283 O
0.196 0.805 0.093 O
0.780 0.907 0.879 O
0.174 0.056 0.437 O
0.130 0.986 0.699 O
0.826 0.944 0.563 O
0.763 0.801 0.719 O
0.662 0.609 0.047 O
0.273 0.239 0.051 O
0.199 0.237 0.781 O
0.391 0.338 0.453 O
0.270 0.409 0.186 O
0.805 0.196 0.593 O
0.375 0.743 0.912 O
0.609 0.662 0.547 O
0.237 0.199 0.281 O
0.743 0.375 0.412 O
0.870 0.014 0.301 O
0.409 0.270 0.686 O
0.986 0.130 0.199 O
0.257 0.625 0.588 O
0.625 0.257 0.088 O
0.730 0.591 0.814 O
0.880 0.292 0.571 Lu
0.120 0.708 0.429 Lu
0.708 0.120 0.929 Lu
0.292 0.880 0.071 Lu
0.593 0.978 0.847 I
0.022 0.407 0.653 I
0.094 0.573 0.059 I
0.610 0.208 0.235 I
0.792 0.390 0.265 I
0.390 0.792 0.765 I
0.906 0.427 0.941 I
0.208 0.610 0.735 I
0.427 0.906 0.441 I
0.978 0.593 0.347 I
0.407 0.022 0.153 I
0.573 0.094 0.559 I

=====

Record 3
Here is a geometry-optimized Ca5Ga6O14 structure from Materials Project. Energies are from PBE.

```
Ca5Ga6O14
1.0
-4.481 6.784 -0.478
-6.602 -4.426 1.776
1.587 1.776 10.326
Ga O Ca
12 28 10
Direct
0.352 0.841 0.979 Ga
0.000 0.000 0.467 Ga
0.211 0.498 0.010 Ga
0.502 0.789 0.510 Ga
0.700 0.700 0.944 Ga
0.000 0.000 0.967 Ga
0.300 0.300 0.444 Ga
0.159 0.648 0.479 Ga
0.498 0.211 0.010 Ga
0.648 0.159 0.479 Ga
0.841 0.352 0.979 Ga
0.789 0.502 0.510 Ga
0.011 0.011 0.638 O
0.511 0.190 0.837 O
0.147 0.147 0.379 O
0.237 0.706 0.093 O
0.808 0.061 0.380 O
0.939 0.192 0.880 O
0.298 0.298 0.617 O
0.435 0.008 0.085 O
0.810 0.489 0.337 O
0.190 0.511 0.837 O
0.702 0.702 0.117 O
0.706 0.237 0.093 O
0.763 0.294 0.593 O
0.061 0.808 0.380 O
0.387 0.387 0.076 O
0.489 0.810 0.337 O
0.989 0.989 0.138 O
0.992 0.565 0.585 O
0.749 0.499 0.869 O
0.613 0.613 0.576 O
0.192 0.939 0.880 O
0.853 0.853 0.879 O
0.565 0.992 0.585 O
0.251 0.501 0.369 O
0.008 0.435 0.085 O
0.499 0.749 0.869 O
0.501 0.251 0.369 O
0.294 0.763 0.593 O
0.742 0.059 0.750 Ca
0.328 0.042 0.702 Ca
0.958 0.672 0.202 Ca
0.258 0.941 0.250 Ca
0.473 0.473 0.747 Ca
0.059 0.742 0.750 Ca
0.941 0.258 0.250 Ca
0.042 0.328 0.702 Ca
0.527 0.527 0.247 Ca
0.672 0.958 0.202 Ca
```

=====

Record 4
Here is a geometry-optimized ZnCu2SnSe2S2 structure from Materials Project. Energies are from PBE.

```
ZnCu2SnSe2S2
1.0
-0.048 3.311 6.036
-4.162 -0.436 5.441
2.138 -2.945 4.251
S Cu Sn Zn Se
2 2 1 1 2
Direct
0.893 0.379 0.107 S
0.379 0.893 0.621 S
0.239 0.239 0.261 Cu
0.739 0.739 0.761 Cu
0.506 0.506 0.494 Sn
0.009 0.009 0.991 Zn
0.106 0.628 0.372 Se
0.628 0.106 0.894 Se
```

=====

Record 5
Here is a geometry-optimized RbP structure from Materials Project. Energies are from PBE.

```
RbP
1.0
0.240 -4.374 -2.306
4.282 -1.657 -1.852
2.373 -3.898 2.202
P Rb
1 1
Direct
0.500 0.500 0.500 P
0.000 0.000 0.000 Rb
```

=====

Record 6
Here is a geometry-optimized Hg9Bi2As4Br12 structure from Materials Project. Energies are from PBE.

```
Hg9Bi2As4Br12
1.0
-1.269 11.090 1.241
-3.380 0.808 -10.680
-27.659 -4.110 8.441
Br Hg As Bi
48 36 16 8
Direct
0.768 0.203 0.399 Br
0.970 0.482 0.624 Br
0.393 0.703 0.472 Br
0.788 0.010 0.256 Br
0.711 0.347 0.836 Br
0.835 0.905 0.480 Br
0.794 0.102 0.601 Br
0.203 0.232 0.649 Br
0.799 0.064 0.043 Br
0.206 0.898 0.101 Br
0.388 0.300 0.771 Br
0.297 0.393 0.222 Br
0.518 0.970 0.374 Br
0.232 0.797 0.899 Br
0.381 0.302 0.350 Br
0.095 0.835 0.230 Br
0.612 0.700 0.271 Br
0.700 0.388 0.521 Br
0.347 0.289 0.086 Br
0.065 0.414 0.398 Br
0.698 0.381 0.100 Br
0.010 0.212 0.506 Br
0.936 0.799 0.793 Br
0.586 0.065 0.148 Br
0.165 0.095 0.980 Br
0.479 0.953 0.019 Br
0.990 0.788 0.006 Br
0.300 0.612 0.021 Br
0.302 0.619 0.600 Br
0.102 0.206 0.851 Br
0.289 0.653 0.336 Br
0.953 0.521 0.269 Br
0.905 0.165 0.730 Br
0.030 0.518 0.124 Br
0.898 0.794 0.351 Br
0.607 0.297 0.972 Br
0.064 0.201 0.293 Br
0.797 0.768 0.149 Br
0.212 0.990 0.756 Br
0.482 0.030 0.874 Br
0.201 0.936 0.543 Br
0.619 0.698 0.850 Br
0.935 0.586 0.898 Br
0.521 0.047 0.519 Br
0.703 0.607 0.722 Br
0.414 0.935 0.648 Br
0.653 0.711 0.586 Br
0.047 0.479 0.769 Br
0.244 0.574 0.133 Hg
0.268 0.973 0.324 Hg
0.973 0.732 0.574 Hg
0.103 0.030 0.640 Hg
0.834 0.574 0.449 Hg
0.864 0.267 0.204 Hg
0.833 0.532 0.999 Hg
0.440 0.511 0.694 Hg
0.805 0.891 0.700 Hg
0.732 0.027 0.824 Hg
0.574 0.756 0.383 Hg
0.267 0.136 0.454 Hg
0.756 0.426 0.633 Hg
0.970 0.103 0.390 Hg
0.560 0.489 0.194 Hg
0.166 0.426 0.949 Hg
0.426 0.834 0.199 Hg
0.027 0.268 0.074 Hg
0.891 0.195 0.950 Hg
0.109 0.805 0.450 Hg
0.690 0.450 0.321 Hg
0.310 0.550 0.821 Hg
0.030 0.897 0.890 Hg
0.167 0.468 0.499 Hg
0.532 0.167 0.249 Hg
0.897 0.970 0.140 Hg
0.574 0.166 0.699 Hg
0.426 0.244 0.883 Hg
0.733 0.864 0.954 Hg
0.136 0.733 0.704 Hg
0.550 0.690 0.071 Hg
0.511 0.560 0.944 Hg
0.195 0.109 0.200 Hg
0.468 0.833 0.749 Hg
0.489 0.440 0.444 Hg
0.450 0.310 0.571 Hg
0.651 0.548 0.398 As
0.987 0.838 0.652 As
0.349 0.452 0.898 As
0.013 0.162 0.152 As
0.162 0.987 0.402 As
0.452 0.651 0.148 As
0.548 0.349 0.648 As
0.015 0.635 0.496 As
0.658 0.676 0.994 As
0.342 0.324 0.494 As
0.365 0.015 0.246 As
0.676 0.342 0.244 As
0.324 0.658 0.744 As
0.838 0.013 0.902 As
0.635 0.985 0.746 As
0.985 0.365 0.996 As
0.866 0.774 0.259 Bi
0.432 0.813 0.563 Bi
0.226 0.866 0.009 Bi
0.134 0.226 0.759 Bi
0.187 0.432 0.313 Bi
0.568 0.187 0.063 Bi
0.774 0.134 0.509 Bi
0.813 0.568 0.813 Bi
```

=====

What V values result from the calculations? In sequence: 607, 941, 703, 176, 87, 3684 Å³/cell.
What energy of formation from the pure elements values result from the calculations? In sequence: -3077, -1241, -2761, -540, 627, -664 meV per atom.
What VASP energy values result from the calculations? In sequence: -6.8710, -4.9338, -6.2748, -4.0056, -2.5695, -2.2339 eV/atom.